Entry 1:
The following is a GGA-PBE calculation of an optimized crystal structure of Mg6VFe, from the Materials Project database.

Cell lengths 4.755, 6.021, 10.938 Å; angles 90.00, 90.00, 90.00 degrees
Element x y z (fractional)
Mg 0.500 0.500 0.669
Mg 0.000 0.740 0.082
Mg 0.000 0.000 0.329
Mg 0.500 0.741 0.421
Mg 0.500 0.000 0.169
Mg 0.000 0.760 0.582
Mg 0.000 0.240 0.582
Mg 0.500 0.259 0.421
Mg 0.000 0.260 0.082
Mg 0.000 0.500 0.829
Mg 0.500 0.759 0.921
Mg 0.500 0.241 0.921
Fe 0.000 0.000 0.805
Fe 0.000 0.500 0.305
V 0.500 0.500 0.192
V 0.500 0.000 0.692

distance to the lowest polymorph of the same formula = 0 meV per atom
V = 19.57 A^3/atom
formation enthalpy at 0 K = 0.29 eV/atom
total moment = 6.6 μB per cell

Entry 2:
The following is a GGA-PBE calculation of an optimized crystal structure of Mg14VFe, from the Materials Project database.

Cell lengths 6.266, 6.177, 9.933 Å; angles 90.00, 90.00, 119.53 degrees
Element x y z (fractional)
Mg 0.326 0.167 0.892
Mg 0.666 0.831 0.125
Mg 0.842 0.671 0.373
Mg 0.168 0.334 0.625
Mg 0.170 0.835 0.625
Mg 0.326 0.167 0.358
Mg 0.849 0.174 0.888
Mg 0.664 0.331 0.625
Mg 0.664 0.833 0.625
Mg 0.666 0.336 0.125
Mg 0.849 0.174 0.362
Mg 0.326 0.658 0.358
Mg 0.326 0.658 0.892
Mg 0.842 0.671 0.877
V 0.158 0.829 0.125
Fe 0.161 0.330 0.125

SG = No. 38
distance to the lowest polymorph of the same formula = 25 meV per atom
V = 20.91 A^3/atom
formation enthalpy at 0 K = 0.18 eV/atom
total moment = 3.1 μB per cell

Entry 3:
The following is a GGA-PBE calculation of an optimized crystal structure of Mg6FeW, from the Materials Project database.

Cell lengths 4.848, 5.820, 10.662 Å; angles 90.00, 90.00, 90.00 degrees
Element x y z (fractional)
Fe 0.500 0.500 0.669
Fe 0.500 0.000 0.169
Mg 0.000 0.000 0.821
Mg 0.500 0.750 0.422
Mg 0.500 0.750 0.922
Mg 0.000 0.246 0.587
Mg 0.000 0.754 0.587
Mg 0.500 0.250 0.422
Mg 0.500 0.250 0.922
Mg 0.000 0.500 0.817
Mg 0.000 0.746 0.087
Mg 0.000 0.000 0.317
Mg 0.000 0.254 0.087
Mg 0.000 0.500 0.321
W 0.500 0.500 0.174
W 0.500 0.000 0.674

distance to the lowest polymorph of the same formula = 70 meV per atom
V = 18.81 A^3/atom
formation enthalpy at 0 K = 0.39 eV/atom
total moment = 3.9 μB per cell

Calculated VASP energy in order - -3.11; -2.32; -3.49 eV/atom